First-principles (PBE-GGA) data for TiO2 after structural relaxation, as listed in Materials Project.

Output
E (MP2020): -9.395 eV/atom
calculated formation energy: -10.39 eV per formula unit

Cell lengths 5.9463, 6.5747, 6.5748 Å; angles 90.00, 90.00, 90.00 degrees
Closest atoms and distances in Å follow each position.
Space group Imma (No. 74)
Asymmetric unit:
Ti: 0.0000 0.2500 0.2452 (multiplicity 4)  6 O 1.94-2.00
Ti: 0.2500 0.2500 0.7500 (multiplicity 4)  6 O 1.96-2.00
O: 0.0000 0.0549 0.7496 (multiplicity 8)  3 Ti 1.96-2.00
O: 0.2499 0.2500 0.0549 (multiplicity 8)  3 Ti 1.94-2.00